A relaxed Li7Mn5O12 crystal, computed with GGA+U.

The structure in CIF format:
```
data_Li7Mn5O12
_chemical_formula_sum 'Li7 Mn5 O12'
_cell_length_a 5.089
_cell_length_b 5.999
_cell_length_c 7.656
_cell_angle_alpha 81.68
_cell_angle_beta 77.50
_cell_angle_gamma 76.36
_space_group_name_H-M_alt 'P 1'
_space_group_IT_number 1
loop_
_space_group_symop_operation_xyz
'x,y,z'
loop_
_atom_site_label
_atom_site_type_symbol
_atom_site_fract_x
_atom_site_fract_y
_atom_site_fract_z
_atom_site_occupancy
Li1 Li 0.000 0.000 0.000 1
Li2 Li 0.002 0.145 0.349 1
Li3 Li 0.491 0.160 0.838 1
Li4 Li 0.970 0.326 0.678 1
Li5 Li 0.974 0.517 0.994 1
Li6 Li 0.980 0.837 0.677 1
Li7 Li 0.988 0.666 0.340 1
Mn1 Mn 0.483 0.335 0.170 1
Mn2 Mn 0.483 0.664 0.840 1
Mn3 Mn 0.484 0.841 0.170 1
Mn4 Mn 0.487 0.488 0.513 1
Mn5 Mn 0.492 0.996 0.510 1
O1 O 0.251 0.685 0.078 1
O2 O 0.253 0.345 0.415 1
O3 O 0.254 0.506 0.755 1
O4 O 0.262 0.841 0.409 1
O5 O 0.269 0.142 0.103 1
O6 O 0.271 0.962 0.752 1
O7 O 0.693 0.527 0.255 1
O8 O 0.699 0.365 0.929 1
O9 O 0.710 0.823 0.933 1
O10 O 0.719 0.643 0.605 1
O11 O 0.720 0.985 0.259 1
O12 O 0.730 0.152 0.580 1
```

**Crystal system**: triclinic



A relaxed NaMnO2 crystal, computed with GGA+U.

The structure in CIF format:
```
data_NaMnO2
_chemical_formula_sum 'Na4 Mn4 O8'
_cell_length_a 6.554
_cell_length_b 6.554
_cell_length_c 5.745
_cell_angle_alpha 110.56
_cell_angle_beta 110.56
_cell_angle_gamma 52.83
_space_group_name_H-M_alt 'P 1'
_space_group_IT_number 1
loop_
_space_group_symop_operation_xyz
'x,y,z'
loop_
_atom_site_label
_atom_site_type_symbol
_atom_site_fract_x
_atom_site_fract_y
_atom_site_fract_z
_atom_site_occupancy
Na1 Na 0.124 0.376 0.250 1
Na2 Na 0.376 0.124 0.750 1
Na3 Na 0.624 0.876 0.250 1
Na4 Na 0.876 0.624 0.750 1
Mn1 Mn 0.126 0.874 0.250 1
Mn2 Mn 0.373 0.627 0.750 1
Mn3 Mn 0.627 0.373 0.250 1
Mn4 Mn 0.874 0.126 0.750 1
O1 O 0.021 0.773 0.544 1
O2 O 0.227 0.979 0.956 1
O3 O 0.273 0.521 0.044 1
O4 O 0.479 0.727 0.456 1
O5 O 0.521 0.273 0.544 1
O6 O 0.727 0.479 0.956 1
O7 O 0.773 0.021 0.044 1
O8 O 0.979 0.227 0.456 1
```

**Crystal system**: monoclinic



A relaxed CrRuN6F6 crystal, computed with GGA+U.

The structure in CIF format:
```
data_CrRuN6F6
_chemical_formula_sum 'Cr4 Ru4 N24 F24'
_cell_length_a 9.623
_cell_length_b 9.623
_cell_length_c 9.623
_cell_angle_alpha 90.00
_cell_angle_beta 90.00
_cell_angle_gamma 90.00
_space_group_name_H-M_alt 'P 1'
_space_group_IT_number 1
loop_
_space_group_symop_operation_xyz
'x,y,z'
loop_
_atom_site_label
_atom_site_type_symbol
_atom_site_fract_x
_atom_site_fract_y
_atom_site_fract_z
_atom_site_occupancy
Cr1 Cr 0.000 0.000 0.000 1
Cr2 Cr 0.000 0.500 0.500 1
Cr3 Cr 0.500 0.000 0.500 1
Cr4 Cr 0.500 0.500 0.000 1
Ru1 Ru 0.000 0.000 0.500 1
Ru2 Ru 0.000 0.500 0.000 1
Ru3 Ru 0.500 0.000 0.000 1
Ru4 Ru 0.500 0.500 0.500 1
N1 N 0.062 0.115 0.655 1
N2 N 0.062 0.385 0.155 1
N3 N 0.115 0.655 0.062 1
N4 N 0.115 0.845 0.562 1
N5 N 0.155 0.062 0.385 1
N6 N 0.155 0.438 0.885 1
N7 N 0.345 0.562 0.385 1
N8 N 0.345 0.938 0.885 1
N9 N 0.385 0.155 0.062 1
N10 N 0.385 0.345 0.562 1
N11 N 0.438 0.615 0.655 1
N12 N 0.438 0.885 0.155 1
N13 N 0.562 0.115 0.845 1
N14 N 0.562 0.385 0.345 1
N15 N 0.615 0.655 0.438 1
N16 N 0.615 0.845 0.938 1
N17 N 0.655 0.062 0.115 1
N18 N 0.655 0.438 0.615 1
N19 N 0.845 0.562 0.115 1
N20 N 0.845 0.938 0.615 1
N21 N 0.885 0.155 0.438 1
N22 N 0.885 0.345 0.938 1
N23 N 0.938 0.615 0.845 1
N24 N 0.938 0.885 0.345 1
F1 F 0.063 0.620 0.371 1
F2 F 0.063 0.880 0.871 1
F3 F 0.120 0.129 0.937 1
F4 F 0.120 0.371 0.437 1
F5 F 0.129 0.563 0.620 1
F6 F 0.129 0.937 0.120 1
F7 F 0.371 0.063 0.620 1
F8 F 0.371 0.437 0.120 1
F9 F 0.380 0.629 0.937 1
F10 F 0.380 0.871 0.437 1
F11 F 0.437 0.120 0.371 1
F12 F 0.437 0.380 0.871 1
F13 F 0.563 0.620 0.129 1
F14 F 0.563 0.880 0.629 1
F15 F 0.620 0.129 0.563 1
F16 F 0.620 0.371 0.063 1
F17 F 0.629 0.563 0.880 1
F18 F 0.629 0.937 0.380 1
F19 F 0.871 0.063 0.880 1
F20 F 0.871 0.437 0.380 1
F21 F 0.880 0.629 0.563 1
F22 F 0.880 0.871 0.063 1
F23 F 0.937 0.120 0.129 1
F24 F 0.937 0.380 0.629 1
```

**Crystal system**: cubic



A relaxed Li3V3P8O29 crystal, computed with GGA+U.

The structure in CIF format:
```
data_Li3V3P8O29
_chemical_formula_sum 'Li6 V6 P16 O58'
_cell_length_a 9.765
_cell_length_b 9.765
_cell_length_c 14.358
_cell_angle_alpha 90.56
_cell_angle_beta 90.56
_cell_angle_gamma 60.34
_space_group_name_H-M_alt 'P 1'
_space_group_IT_number 1
loop_
_space_group_symop_operation_xyz
'x,y,z'
loop_
_atom_site_label
_atom_site_type_symbol
_atom_site_fract_x
_atom_site_fract_y
_atom_site_fract_z
_atom_site_occupancy
Li1 Li 0.042 0.042 0.299 1
Li2 Li 0.184 0.042 0.816 1
Li3 Li 0.347 0.437 0.697 1
Li4 Li 0.563 0.653 0.303 1
Li5 Li 0.958 0.816 0.184 1
Li6 Li 0.958 0.958 0.701 1
V1 V 0.259 0.304 0.494 1
V2 V 0.271 0.166 0.008 1
V3 V 0.692 0.308 0.000 1
V4 V 0.696 0.741 0.506 1
V5 V 0.827 0.173 0.500 1
V6 V 0.834 0.729 0.992 1
P1 P 0.032 0.056 0.089 1
P2 P 0.039 0.650 0.584 1
P3 P 0.174 0.059 0.595 1
P4 P 0.177 0.510 0.089 1
P5 P 0.350 0.418 0.909 1
P6 P 0.350 0.961 0.416 1
P7 P 0.490 0.823 0.911 1
P8 P 0.493 0.422 0.409 1
P9 P 0.578 0.507 0.591 1
P10 P 0.582 0.650 0.091 1
P11 P 0.596 0.076 0.617 1
P12 P 0.610 0.065 0.118 1
P13 P 0.924 0.404 0.383 1
P14 P 0.935 0.390 0.882 1
P15 P 0.941 0.826 0.405 1
P16 P 0.944 0.968 0.911 1
O1 O 0.001 0.755 0.313 1
O2 O 0.005 0.652 0.083 1
O3 O 0.007 0.076 0.584 1
O4 O 0.025 0.973 0.825 1
O5 O 0.027 0.975 0.175 1
O6 O 0.032 0.748 0.666 1
O7 O 0.054 0.946 0.000 1
O8 O 0.060 0.722 0.488 1
O9 O 0.076 0.403 0.426 1
O10 O 0.084 0.243 0.923 1
O11 O 0.167 0.217 0.569 1
O12 O 0.171 0.353 0.072 1
O13 O 0.178 0.079 0.086 1
O14 O 0.182 0.481 0.586 1
O15 O 0.245 0.999 0.687 1
O16 O 0.252 0.968 0.334 1
O17 O 0.253 0.532 0.994 1
O18 O 0.261 0.510 0.175 1
O19 O 0.274 0.481 0.818 1
O20 O 0.278 0.940 0.512 1
O21 O 0.348 0.995 0.917 1
O22 O 0.351 0.392 0.417 1
O23 O 0.359 0.117 0.429 1
O24 O 0.361 0.257 0.932 1
O25 O 0.447 0.223 0.578 1
O26 O 0.456 0.068 0.076 1
O27 O 0.468 0.747 0.006 1
O28 O 0.471 0.529 0.500 1
O29 O 0.490 0.739 0.825 1
O30 O 0.501 0.499 0.324 1
O31 O 0.501 0.499 0.676 1
O32 O 0.519 0.396 0.919 1
O33 O 0.519 0.726 0.182 1
O34 O 0.519 0.818 0.414 1
O35 O 0.597 0.924 0.574 1
O36 O 0.604 0.481 0.081 1
O37 O 0.607 0.213 0.073 1
O38 O 0.608 0.649 0.583 1
O39 O 0.610 0.070 0.720 1
O40 O 0.611 0.066 0.221 1
O41 O 0.646 0.260 0.429 1
O42 O 0.647 0.829 0.928 1
O43 O 0.740 0.354 0.571 1
O44 O 0.743 0.639 0.068 1
O45 O 0.748 0.070 0.574 1
O46 O 0.757 0.916 0.077 1
O47 O 0.777 0.553 0.422 1
O48 O 0.783 0.833 0.431 1
O49 O 0.785 0.119 0.926 1
O50 O 0.787 0.393 0.927 1
O51 O 0.881 0.215 0.074 1
O52 O 0.883 0.641 0.571 1
O53 O 0.921 0.822 0.914 1
O54 O 0.924 0.993 0.416 1
O55 O 0.930 0.252 0.426 1
O56 O 0.930 0.390 0.280 1
O57 O 0.932 0.544 0.924 1
O58 O 0.934 0.389 0.779 1
```

**Crystal system**: monoclinic



A relaxed TiFeP2O8 crystal, computed with GGA+U.

The structure in CIF format:
```
data_TiFeP2O8
_chemical_formula_sum 'Ti3 Fe3 P6 O24'
_cell_length_a 8.522
_cell_length_b 8.522
_cell_length_c 8.522
_cell_angle_alpha 61.43
_cell_angle_beta 61.43
_cell_angle_gamma 61.43
_space_group_name_H-M_alt 'P 1'
_space_group_IT_number 1
loop_
_space_group_symop_operation_xyz
'x,y,z'
loop_
_atom_site_label
_atom_site_type_symbol
_atom_site_fract_x
_atom_site_fract_y
_atom_site_fract_z
_atom_site_occupancy
Ti1 Ti 0.000 0.000 0.000 1
Ti2 Ti 0.215 0.215 0.215 1
Ti3 Ti 0.503 0.503 0.503 1
Fe1 Fe 0.358 0.358 0.358 1
Fe2 Fe 0.717 0.717 0.717 1
Fe3 Fe 0.855 0.855 0.855 1
P1 P 0.111 0.815 0.400 1
P2 P 0.317 0.612 0.903 1
P3 P 0.400 0.111 0.815 1
P4 P 0.612 0.903 0.317 1
P5 P 0.815 0.400 0.111 1
P6 P 0.903 0.317 0.612 1
O1 O 0.043 0.860 0.238 1
O2 O 0.099 0.292 0.450 1
O3 O 0.117 0.768 0.915 1
O4 O 0.188 0.972 0.345 1
O5 O 0.238 0.043 0.860 1
O6 O 0.271 0.620 0.411 1
O7 O 0.292 0.450 0.099 1
O8 O 0.345 0.188 0.972 1
O9 O 0.363 0.545 0.738 1
O10 O 0.411 0.271 0.620 1
O11 O 0.450 0.099 0.292 1
O12 O 0.468 0.676 0.871 1
O13 O 0.545 0.738 0.363 1
O14 O 0.592 0.957 0.807 1
O15 O 0.620 0.411 0.271 1
O16 O 0.676 0.871 0.468 1
O17 O 0.738 0.363 0.545 1
O18 O 0.768 0.915 0.117 1
O19 O 0.807 0.592 0.957 1
O20 O 0.860 0.238 0.043 1
O21 O 0.871 0.468 0.676 1
O22 O 0.915 0.117 0.768 1
O23 O 0.957 0.807 0.592 1
O24 O 0.972 0.345 0.188 1
```

**Crystal system**: trigonal



A relaxed LiVF4 crystal, computed with GGA+U.

The structure in CIF format:
```
data_LiVF4
_chemical_formula_sum 'Li2 V2 F8'
_cell_length_a 5.364
_cell_length_b 5.364
_cell_length_c 6.187
_cell_angle_alpha 90.00
_cell_angle_beta 90.00
_cell_angle_gamma 98.99
_space_group_name_H-M_alt 'P 1'
_space_group_IT_number 1
loop_
_space_group_symop_operation_xyz
'x,y,z'
loop_
_atom_site_label
_atom_site_type_symbol
_atom_site_fract_x
_atom_site_fract_y
_atom_site_fract_z
_atom_site_occupancy
Li1 Li 0.152 0.848 0.750 1
Li2 Li 0.848 0.152 0.250 1
V1 V 0.479 0.521 0.250 1
V2 V 0.521 0.479 0.750 1
F1 F 0.185 0.273 0.250 1
F2 F 0.273 0.185 0.750 1
F3 F 0.339 0.661 0.530 1
F4 F 0.339 0.661 0.970 1
F5 F 0.661 0.339 0.030 1
F6 F 0.661 0.339 0.470 1
F7 F 0.727 0.815 0.250 1
F8 F 0.815 0.727 0.750 1
```

**Crystal system**: orthorhombic



A relaxed MgNiHO2 crystal, computed with GGA+U.

The structure in CIF format:
```
data_MgNiHO2
_chemical_formula_sum 'Mg1 Ni1 H1 O2'
_cell_length_a 3.356
_cell_length_b 3.356
_cell_length_c 5.659
_cell_angle_alpha 100.84
_cell_angle_beta 100.84
_cell_angle_gamma 54.27
_space_group_name_H-M_alt 'P 1'
_space_group_IT_number 1
loop_
_space_group_symop_operation_xyz
'x,y,z'
loop_
_atom_site_label
_atom_site_type_symbol
_atom_site_fract_x
_atom_site_fract_y
_atom_site_fract_z
_atom_site_occupancy
Mg1 Mg 0.000 0.000 0.000 1
Ni1 Ni 0.681 0.681 0.610 1
H1 H 0.302 0.302 0.352 1
O1 O 0.138 0.138 0.354 1
O2 O 0.291 0.291 0.890 1
```

**Crystal system**: monoclinic



A relaxed Li9Mn2Co5O16 crystal, computed with GGA+U.

The structure in CIF format:
```
data_Li9Mn2Co5O16
_chemical_formula_sum 'Li9 Mn2 Co5 O16'
_cell_length_a 3.028
_cell_length_b 5.140
_cell_length_c 19.562
_cell_angle_alpha 91.21
_cell_angle_beta 93.16
_cell_angle_gamma 104.81
_space_group_name_H-M_alt 'P 1'
_space_group_IT_number 1
loop_
_space_group_symop_operation_xyz
'x,y,z'
loop_
_atom_site_label
_atom_site_type_symbol
_atom_site_fract_x
_atom_site_fract_y
_atom_site_fract_z
_atom_site_occupancy
Li1 Li 0.000 0.000 0.000 1
Li2 Li 0.067 0.307 0.814 1
Li3 Li 0.139 0.617 0.628 1
Li4 Li 0.262 0.246 0.252 1
Li5 Li 0.382 0.877 0.878 1
Li6 Li 0.503 0.494 0.503 1
Li7 Li 0.623 0.115 0.128 1
Li8 Li 0.754 0.737 0.751 1
Li9 Li 0.883 0.371 0.377 1
Mn1 Mn 0.190 0.931 0.441 1
Mn2 Mn 0.325 0.556 0.062 1
Co1 Co 0.450 0.188 0.695 1
Co2 Co 0.557 0.807 0.314 1
Co3 Co 0.678 0.428 0.933 1
Co4 Co 0.825 0.056 0.568 1
Co5 Co 0.949 0.682 0.189 1
O1 O 0.011 0.827 0.098 1
O2 O 0.015 0.180 0.910 1
O3 O 0.113 0.436 0.719 1
O4 O 0.184 0.793 0.533 1
O5 O 0.193 0.066 0.348 1
O6 O 0.315 0.420 0.155 1
O7 O 0.365 0.693 0.972 1
O8 O 0.410 0.031 0.773 1
O9 O 0.459 0.313 0.603 1
O10 O 0.499 0.664 0.405 1
O11 O 0.585 0.945 0.223 1
O12 O 0.646 0.297 0.026 1
O13 O 0.727 0.585 0.855 1
O14 O 0.764 0.922 0.657 1
O15 O 0.881 0.199 0.476 1
O16 O 0.919 0.544 0.280 1
```

**Crystal system**: triclinic



A relaxed Y2MnFeO6 crystal, computed with GGA+U.

The structure in CIF format:
```
data_Y2MnFeO6
_chemical_formula_sum 'Y4 Mn2 Fe2 O12'
_cell_length_a 5.349
_cell_length_b 5.793
_cell_length_c 9.264
_cell_angle_alpha 90.00
_cell_angle_beta 124.91
_cell_angle_gamma 90.00
_space_group_name_H-M_alt 'P 1'
_space_group_IT_number 1
loop_
_space_group_symop_operation_xyz
'x,y,z'
loop_
_atom_site_label
_atom_site_type_symbol
_atom_site_fract_x
_atom_site_fract_y
_atom_site_fract_z
_atom_site_occupancy
Y1 Y 0.231 0.077 0.250 1
Y2 Y 0.231 0.423 0.750 1
Y3 Y 0.769 0.577 0.250 1
Y4 Y 0.769 0.923 0.750 1
Mn1 Mn 0.500 0.000 0.000 1
Mn2 Mn 0.500 0.500 0.500 1
Fe1 Fe 0.000 0.000 0.500 1
Fe2 Fe 0.000 0.500 0.000 1
O1 O 0.139 0.187 0.945 1
O2 O 0.139 0.313 0.445 1
O3 O 0.242 0.677 0.940 1
O4 O 0.242 0.823 0.440 1
O5 O 0.369 0.039 0.755 1
O6 O 0.369 0.461 0.255 1
O7 O 0.631 0.539 0.745 1
O8 O 0.631 0.961 0.245 1
O9 O 0.758 0.177 0.560 1
O10 O 0.758 0.323 0.060 1
O11 O 0.861 0.687 0.555 1
O12 O 0.861 0.813 0.055 1
```

**Crystal system**: monoclinic



A relaxed VPPb3O8 crystal, computed with GGA+U.

The structure in CIF format:
```
data_VPPb3O8
_chemical_formula_sum 'V1 P1 Pb3 O8'
_cell_length_a 7.636
_cell_length_b 7.636
_cell_length_c 7.636
_cell_angle_alpha 43.52
_cell_angle_beta 43.52
_cell_angle_gamma 43.52
_space_group_name_H-M_alt 'P 1'
_space_group_IT_number 1
loop_
_space_group_symop_operation_xyz
'x,y,z'
loop_
_atom_site_label
_atom_site_type_symbol
_atom_site_fract_x
_atom_site_fract_y
_atom_site_fract_z
_atom_site_occupancy
V1 V 0.000 0.000 0.000 1
P1 P 0.195 0.195 0.195 1
Pb1 Pb 0.383 0.383 0.383 1
Pb2 Pb 0.593 0.593 0.593 1
Pb3 Pb 0.804 0.804 0.804 1
O1 O 0.271 0.271 0.271 1
O2 O 0.321 0.321 0.869 1
O3 O 0.321 0.869 0.321 1
O4 O 0.363 0.862 0.862 1
O5 O 0.862 0.363 0.862 1
O6 O 0.862 0.862 0.363 1
O7 O 0.869 0.321 0.321 1
O8 O 0.916 0.916 0.916 1
```

**Crystal system**: trigonal



A relaxed GdFe4Bi3O12 crystal, computed with GGA+U.

The structure in CIF format:
```
data_GdFe4Bi3O12
_chemical_formula_sum 'Gd1 Fe4 Bi3 O12'
_cell_length_a 5.480
_cell_length_b 7.863
_cell_length_c 5.710
_cell_angle_alpha 90.00
_cell_angle_beta 90.17
_cell_angle_gamma 90.00
_space_group_name_H-M_alt 'P 1'
_space_group_IT_number 1
loop_
_space_group_symop_operation_xyz
'x,y,z'
loop_
_atom_site_label
_atom_site_type_symbol
_atom_site_fract_x
_atom_site_fract_y
_atom_site_fract_z
_atom_site_occupancy
Gd1 Gd 0.000 0.000 0.000 1
Fe1 Fe 0.011 0.249 0.557 1
Fe2 Fe 0.011 0.751 0.557 1
Fe3 Fe 0.512 0.248 0.059 1
Fe4 Fe 0.512 0.752 0.059 1
Bi1 Bi 0.018 0.500 0.108 1
Bi2 Bi 0.499 0.500 0.609 1
Bi3 Bi 0.522 0.000 0.507 1
O1 O 0.111 0.000 0.597 1
O2 O 0.205 0.295 0.864 1
O3 O 0.205 0.705 0.864 1
O4 O 0.320 0.297 0.363 1
O5 O 0.320 0.703 0.363 1
O6 O 0.409 0.000 0.086 1
O7 O 0.608 0.500 0.031 1
O8 O 0.712 0.196 0.763 1
O9 O 0.712 0.804 0.763 1
O10 O 0.821 0.198 0.252 1
O11 O 0.821 0.802 0.252 1
O12 O 0.912 0.500 0.528 1
```

**Crystal system**: monoclinic



A relaxed Li3MnOF4 crystal, computed with GGA+U.

The structure in CIF format:
```
data_Li3MnOF4
_chemical_formula_sum 'Li6 Mn2 O2 F8'
_cell_length_a 5.271
_cell_length_b 5.515
_cell_length_c 7.520
_cell_angle_alpha 109.93
_cell_angle_beta 69.11
_cell_angle_gamma 103.21
_space_group_name_H-M_alt 'P 1'
_space_group_IT_number 1
loop_
_space_group_symop_operation_xyz
'x,y,z'
loop_
_atom_site_label
_atom_site_type_symbol
_atom_site_fract_x
_atom_site_fract_y
_atom_site_fract_z
_atom_site_occupancy
Li1 Li 0.638 0.720 0.771 1
Li2 Li 0.638 0.721 0.271 1
Li3 Li 0.741 0.335 0.399 1
Li4 Li 0.741 0.335 0.899 1
Li5 Li 0.216 0.590 0.593 1
Li6 Li 0.216 0.590 0.093 1
Mn1 Mn 0.015 0.015 0.000 1
Mn2 Mn 0.015 0.015 0.500 1
O1 O 0.961 0.009 0.762 1
O2 O 0.961 0.010 0.262 1
F1 F 0.837 0.393 0.639 1
F2 F 0.837 0.392 0.139 1
F3 F 0.354 0.254 0.475 1
F4 F 0.354 0.254 0.975 1
F5 F 0.667 0.748 0.520 1
F6 F 0.667 0.747 0.020 1
F7 F 0.239 0.692 0.363 1
F8 F 0.239 0.692 0.863 1
```



Computed energy of formation from the pure elements (eV/atom) in order:
-2.143; -2.030; 0.624; -2.517; -2.756; -3.152; -1.419; -1.649; -2.909; -2.158; -1.920; -2.833
Computed VASP energy (eV for the cell shown) in order:
-153.40; -101.84; -267.73; -606.01; -276.28; -68.03; -23.85; -180.45; -162.59; -86.08; -140.14; -97.57